[1]
EuAlAu: relaxed, r²SCAN.

Properties
- Total magnetic moment: 7.1 μB per formula unit
- Calculated formation energy: -0.74 eV/atom
- Symmetry: Pnma (62)

The structure in POSCAR format:
```
EuAlAu
1.0
4.625 0.000 0.000
0.000 7.535 0.000
0.000 0.000 7.711
Au Al Eu
4 4 4
Cartesian
1.156 6.026 6.873
3.468 5.276 3.018
3.468 1.509 0.838
1.156 2.259 4.694
1.156 4.931 4.415
3.468 2.603 3.296
1.156 1.164 7.152
3.468 6.370 0.560
1.156 3.885 1.391
1.156 0.118 2.464
3.468 3.649 6.320
3.468 7.417 5.247
```

***

[2]
Co3Rh: relaxed, r²SCAN.

Properties
- Total magnetic moment: 6.2 μB per formula unit
- Calculated formation energy: 0.05 eV/atom
- Symmetry: P-6m2 (187)

The structure in POSCAR format:
```
Co3Rh
1.0
1.289 -2.232 0.000
1.289 2.232 0.000
0.000 0.000 8.137
Co Rh
3 1
Cartesian
0.000 0.000 6.017
0.000 0.000 2.120
1.289 0.744 4.069
1.289 0.744 8.137
```